Compound: CeMg6Mo
Source: the Materials Project
Functional: PBE
Structure: optimized geometry

Lattice parameters (Å, degrees): 5.177 5.766 11.809 90.00 90.00 90.00
Positions (direct):
Mg1 0.000 0.000 0.337
Mg2 0.500 0.750 0.426
Mg3 0.000 0.500 0.305
Mg4 0.000 0.760 0.581
Mg5 0.000 0.740 0.081
Mg6 0.500 0.250 0.926
Mg7 0.000 0.000 0.805
Mg8 0.500 0.750 0.926
Mg9 0.000 0.260 0.081
Ce1 0.500 0.000 0.178
Mo1 0.500 0.500 0.168
Mg10 0.500 0.250 0.426
Mg11 0.000 0.240 0.581
Ce2 0.500 0.500 0.678
Mg12 0.000 0.500 0.837
Mo2 0.500 0.000 0.668

Properties
The value obtained for the electronic total energy is -49.37 eV for the cell shown. As for the energy above the most stable polymorph in this dataset: 28.6 meV per atom. The magnetic moment is 0.01 μB per cell. The energy of formation is 0.212 eV per atom.